[1]
Y4MgNi | GGA-PBE | optimized geometry

Output
E_form: -19.6 kJ per mole of atoms
Calculated total energy: -5.744 eV/atom
Calculated volume: 26.6 Å³ per atom
Crystal system: cubic

Structure (extended XYZ):
```
24
Lattice="7.7016 -5.5778 1.7175 0.5405 -8.8249 -3.8995 6.3483 -1.7801 -7.0645" Properties=species:S:1:pos:R:3 pbc="T T T"
Y 3.4946 -4.9920 -4.6987
Y 3.8006 -3.0994 0.0755
Y 6.1906 -3.7696 -2.5841
Y 1.1047 -4.3218 -2.0391
Y 4.0041 -6.4217 -1.3926
Y 3.2911 -1.6697 -3.2307
Y 7.0384 -9.6797 -8.6299
Y 7.5520 -6.5031 -0.6166
Y 11.5635 -7.6279 -5.0805
Y 3.0270 -8.5549 -4.1659
Y 7.8935 -12.0794 -3.0806
Y 6.6969 -4.1034 -6.1658
Y 8.7001 -9.6496 -5.5135
Y 6.2550 -8.9640 -2.7927
Y 8.4919 -6.2507 -4.0116
Y 5.7338 -7.5013 -6.1750
Mg 12.1090 -13.4306 -7.6738
Mg 10.0794 -12.8614 -5.4153
Mg 11.9362 -10.6092 -6.4271
Mg 9.6467 -11.6473 -8.2230
Ni 5.7090 -6.3321 -3.6180
Ni 8.4697 -7.1062 -6.6901
Ni 5.9440 -10.1697 -5.3137
Ni 9.0582 -8.7577 -2.8711
```

=====

[2]
YMg14Ni | GGA-PBE | optimized geometry

Output
Spin magnetization: 0.00 μB/f.u.
E_form: 3.0 kJ per mole of atoms
Energy relative to the lowest polymorph listed for this composition: 0.026 eV/atom
Calculated total energy: -2.135 eV/atom
Calculated volume: 22.6 Å³ per atom
Crystal system: hexagonal

Structure (extended XYZ):
```
16
Lattice="-6.2307 -1.2411 0.6571 4.2289 -4.7864 0.0177 0.9033 0.8356 10.1426" Properties=species:S:1:pos:R:3 pbc="T T T"
Y 0.4841 -1.6979 1.3833
Mg 2.5476 -4.1361 1.4004
Mg 3.0781 -3.6487 6.4589
Mg -2.6450 -2.2515 1.7075
Mg -2.1721 -1.9373 6.7855
Mg -0.4521 -4.7336 1.7167
Mg -0.1006 -4.2818 6.7942
Mg -0.9422 -0.9065 4.2207
Mg -0.5261 -0.5216 8.8927
Mg 1.0833 -3.1990 4.2291
Mg 1.4993 -2.8141 8.9012
Mg -4.1887 -1.5532 4.5631
Mg -3.7726 -1.1683 9.2351
Mg -2.0427 -3.9196 4.2685
Mg -1.5742 -3.4863 9.5286
Ni 0.9357 -1.2801 6.4546
```

=====

[3]
Mg6ZrNi | GGA-PBE | optimized geometry

Output
Spin magnetization: 0.00 μB/f.u.
E_form: 4.4 kJ per mole of atoms
Energy relative to the lowest polymorph listed for this composition: 0.000 eV/atom
Calculated total energy: -2.946 eV/atom
Calculated volume: 20.4 Å³ per atom

Structure (extended XYZ):
```
16
Lattice="4.8396 0.0000 0.0000 0.0000 6.0865 0.0000 0.0000 0.0000 11.0833" Properties=species:S:1:pos:R:3 pbc="T T T"
Mg 0.0000 1.5547 0.8246
Mg 0.0000 4.5318 0.8246
Mg 0.0000 0.0000 3.6920
Mg 2.4198 4.5334 4.6615
Mg 2.4198 1.5531 4.6615
Mg 2.4198 0.0000 1.9305
Mg 0.0000 4.5980 6.3663
Mg 0.0000 1.4886 6.3663
Mg 0.0000 3.0433 9.2336
Mg 2.4198 1.4901 10.2032
Mg 2.4198 4.5964 10.2032
Mg 2.4198 3.0433 7.4721
Zr 0.0000 3.0433 3.4344
Zr 0.0000 0.0000 8.9760
Ni 2.4198 3.0433 2.1374
Ni 2.4198 0.0000 7.6791
```

=====

[4]
Mg6ZrNi | GGA-PBE | optimized geometry

Output
Spin magnetization: 0.00 μB/f.u.
E_form: 7.2 kJ per mole of atoms
Energy relative to the lowest polymorph listed for this composition: 0.029 eV/atom
Calculated total energy: -2.917 eV/atom
Calculated volume: 20.4 Å³ per atom

Structure (extended XYZ):
```
16
Lattice="4.8792 0.0000 0.0000 0.0000 5.8849 0.0000 0.0000 0.0000 11.3728" Properties=species:S:1:pos:R:3 pbc="T T T"
Mg 2.4396 4.3901 10.5900
Mg 2.4396 1.4948 10.5900
Mg 0.0000 1.4556 6.6231
Mg 0.0000 4.4293 6.6231
Mg 0.0000 2.9425 9.4868
Mg 0.0000 0.0000 9.1512
Mg 2.4396 1.4477 4.9036
Mg 2.4396 4.4372 4.9036
Mg 0.0000 4.3981 0.9367
Mg 0.0000 1.4868 0.9367
Mg 0.0000 0.0000 3.8004
Mg 0.0000 2.9425 3.4649
Zr 2.4396 2.9425 7.7666
Zr 2.4396 0.0000 2.0802
Ni 2.4396 0.0000 7.4058
Ni 2.4396 2.9425 1.7194
```

=====

[5]
MgZrNi2 | GGA-PBE | optimized geometry

Output
E_form: -32.8 kJ per mole of atoms
Calculated total energy: -5.767 eV/atom
Calculated volume: 15.4 Å³ per atom
Crystal system: cubic

Structure (extended XYZ):
```
4
Lattice="-3.4684 -2.6113 -0.8920 -2.9692 -0.8989 3.1655 -4.0748 1.7288 -0.2282" Properties=species:S:1:pos:R:3 pbc="T T T"
Mg -5.2562 -0.8907 1.0226
Zr 0.0000 0.0000 0.0000
Ni -2.6281 -0.4454 0.5113
Ni -7.8843 -1.3361 1.5340
```

=====

[6]
MgOsO3 | GGA-PBE | optimized geometry

Output
Spin magnetization: 1.16 μB/f.u.
E_form: -133.0 kJ per mole of atoms
Calculated total energy: -6.501 eV/atom
Calculated volume: 12.0 Å³ per atom
Crystal system: cubic

Structure (extended XYZ):
```
5
Lattice="3.9168 0.0000 0.0000 0.0000 3.9168 0.0000 0.0000 0.0000 3.9168" Properties=species:S:1:pos:R:3 pbc="T T T"
Mg 0.0000 0.0000 0.0000
Os 1.9584 1.9584 1.9584
O 1.9584 1.9584 0.0000
O 1.9584 0.0000 1.9584
O 0.0000 1.9584 1.9584
```

=====

[7]
Mg3P2O8 | GGA-PBE | optimized geometry

Output
E_form: -295.8 kJ per mole of atoms
Energy relative to the lowest polymorph listed for this composition: 0.000 eV/atom
Calculated total energy: -6.890 eV/atom
Calculated volume: 12.7 Å³ per atom
Crystal system: monoclinic

Structure (extended XYZ):
```
26
Lattice="8.3404 0.0000 0.0000 0.0000 5.1224 0.0000 0.0000 4.5512 7.7115" Properties=species:S:1:pos:R:3 pbc="T T T"
Mg 7.1383 4.4263 3.0211
Mg 2.9681 2.9717 0.8347
Mg 1.2021 5.2474 4.6904
Mg 5.3723 6.7019 6.8768
Mg 4.1702 4.8368 3.8558
Mg 0.0000 2.5612 0.0000
P 6.7176 4.4982 6.1567
P 2.5474 7.4510 5.4106
P 1.6228 5.1754 1.5549
P 5.7930 2.2226 2.3009
O 4.7995 2.2451 1.1055
O 0.6293 5.1529 2.7503
O 3.5409 7.4286 6.6060
O 7.7111 4.5207 4.9612
O 7.1947 2.7307 1.8292
O 3.0245 4.6673 2.0265
O 1.1457 6.9429 5.8823
O 5.3159 5.0063 5.6850
O 5.8233 5.9169 2.8835
O 1.6531 1.4811 0.9722
O 7.1331 5.5331 7.2337
O 2.9629 6.4162 4.3336
O 1.2073 4.1405 0.4778
O 5.3775 3.2575 3.3779
O 6.6873 8.1925 6.7393
O 2.5171 3.7567 4.8280
```

=====

[8]
Mg3P2O8 | GGA-PBE | optimized geometry

Output
Spin magnetization: 0.00 μB/f.u.
E_form: -293.0 kJ per mole of atoms
Energy relative to the lowest polymorph listed for this composition: 0.029 eV/atom
Calculated total energy: -6.861 eV/atom
Calculated volume: 11.2 Å³ per atom
Crystal system: triclinic

Structure (extended XYZ):
```
52
Lattice="-3.0211 -7.8957 -1.6406 8.7769 1.1704 -2.0678 -1.9898 -0.8926 9.1633" Properties=species:S:1:pos:R:3 pbc="T T T"
Mg 0.6748 -1.0419 7.2573
Mg 2.2708 -4.3090 0.3522
Mg 4.6304 -3.7625 4.8443
Mg -0.8643 -3.8553 0.6105
Mg 2.3519 -7.3288 0.9932
Mg -1.4582 -5.1028 4.7982
Mg 2.7871 -6.9218 4.5145
Mg 5.2243 -2.5150 0.6567
Mg 1.4953 -3.3089 5.1026
Mg 0.9789 -0.6960 0.9404
Mg 1.4141 -0.2890 4.4616
Mg 3.0913 -6.5760 -1.8025
P -1.2267 -3.1954 7.4013
P 3.6285 -1.4462 6.9631
P 4.9927 -4.4224 -1.9465
P 4.6479 -5.4814 2.3149
P 0.5069 -5.7446 2.9413
P 3.2592 -1.8732 2.5136
P -0.8818 -2.1364 3.1399
P 0.1376 -6.1716 -1.5082
O -1.6712 -1.7788 7.9453
O 2.3411 -1.3675 6.0400
O -0.3962 -2.0539 1.6643
O 1.4250 -6.2504 -0.5851
O 4.2771 -0.0334 7.0752
O 5.3718 -4.1283 2.1289
O -2.1552 -3.8469 6.3537
O 0.8733 -3.1857 -0.4983
O 4.6679 -1.2509 2.3758
O -3.1317 -7.8190 4.1454
O 2.1753 -0.7530 2.6240
O 2.8928 -4.4322 5.9531
O 0.1855 -2.9536 6.7839
O -0.8959 -5.1802 -0.9577
O 3.5806 -4.6643 -1.3291
O 0.6813 -4.9852 4.2961
O 5.1313 -0.9157 -0.7762
O 3.1499 -2.7950 3.7495
O 5.9213 -3.7710 -0.8988
O 3.4615 -5.6083 1.3435
O -0.5111 -7.5845 -1.6203
O -1.6057 -3.4895 3.3260
O -0.9018 -6.3669 3.0791
O 3.0847 -2.6326 1.1588
O 0.3045 -2.0096 4.1114
O 0.6161 -4.8229 1.7054
O 4.6620 -2.4376 6.4125
O 4.1623 -5.5640 3.7905
O -1.3652 -6.7022 6.2310
O 5.4372 -5.8391 -2.4905
O 1.5908 -6.8649 2.8309
O 6.8977 0.2011 1.3095
```

=====

Repeat the seventh record exactly.
Mg3P2O8 | GGA-PBE | optimized geometry

Output
E_form: -295.8 kJ per mole of atoms
Energy relative to the lowest polymorph listed for this composition: 0.000 eV/atom
Calculated total energy: -6.890 eV/atom
Calculated volume: 12.7 Å³ per atom
Crystal system: monoclinic

Structure (extended XYZ):
```
26
Lattice="8.3404 0.0000 0.0000 0.0000 5.1224 0.0000 0.0000 4.5512 7.7115" Properties=species:S:1:pos:R:3 pbc="T T T"
Mg 7.1383 4.4263 3.0211
Mg 2.9681 2.9717 0.8347
Mg 1.2021 5.2474 4.6904
Mg 5.3723 6.7019 6.8768
Mg 4.1702 4.8368 3.8558
Mg 0.0000 2.5612 0.0000
P 6.7176 4.4982 6.1567
P 2.5474 7.4510 5.4106
P 1.6228 5.1754 1.5549
P 5.7930 2.2226 2.3009
O 4.7995 2.2451 1.1055
O 0.6293 5.1529 2.7503
O 3.5409 7.4286 6.6060
O 7.7111 4.5207 4.9612
O 7.1947 2.7307 1.8292
O 3.0245 4.6673 2.0265
O 1.1457 6.9429 5.8823
O 5.3159 5.0063 5.6850
O 5.8233 5.9169 2.8835
O 1.6531 1.4811 0.9722
O 7.1331 5.5331 7.2337
O 2.9629 6.4162 4.3336
O 1.2073 4.1405 0.4778
O 5.3775 3.2575 3.3779
O 6.6873 8.1925 6.7393
O 2.5171 3.7567 4.8280
```

=====

- calculated total energy of number 3 (Mg6ZrNi)?
  -2.946 eV/atom